# 1
I, optimized geometry, DFT GGA-PBE; E above lowest polymorph = 0 meV per atom; formation energy from the elements = 0 meV per atom; space-group type = Cmce, No. 64
1.0
9.1409 0.0000 0.0000
0.0000 4.6033 0.0000
0.0000 0.0000 9.8325
I
8
Direct
0.0000 0.1589 0.1224
0.0000 0.3411 0.6224
0.0000 0.6589 0.3776
0.0000 0.8411 0.8776
0.5000 0.1589 0.3776
0.5000 0.3411 0.8776
0.5000 0.6589 0.1224
0.5000 0.8411 0.6224

***

# 2
AgN, optimized geometry, DFT GGA-PBE; spin magnetization = 0.01 μB per formula unit; E above lowest polymorph = 232 meV per atom; formation energy from the elements = 1652 meV per atom; space-group type = Pm-3m, No. 221
1.0
2.8743 0.0000 0.0000
0.0000 2.8743 0.0000
0.0000 0.0000 2.8743
Ag N
1 1
Direct
0.0000 0.0000 0.0000
0.5000 0.5000 0.5000

***

Q: The highest E above lowest polymorph belongs to which entry?
A: AgN

***

What did the second record say?
AgN, optimized geometry, DFT GGA-PBE; spin magnetization = 0.01 μB per formula unit; E above lowest polymorph = 232 meV per atom; formation energy from the elements = 1652 meV per atom; space-group type = Pm-3m, No. 221
1.0
2.8743 0.0000 0.0000
0.0000 2.8743 0.0000
0.0000 0.0000 2.8743
Ag N
1 1
Direct
0.0000 0.0000 0.0000
0.5000 0.5000 0.5000